No. 1
Below is an optimized crystal structure of Li2TlAu, with properties calculated at the GGA-PBE level.

Lattice parameters (Å, degrees): 4.648 4.648 4.648 60.00 60.00 60.00
Fractional positions:
Li  0.750  0.750  0.750
Li  0.250  0.250  0.250
Tl  0.000  0.000  0.000
Au  0.500  0.500  0.500

Properties
- ΔE_f: -0.3904 eV per atom
- Distance to the lowest polymorph of the same formula: 0.000 eV per atom

=====

No. 2
Below is an optimized crystal structure of Lu3Ge13Rh4, with properties calculated at the GGA-PBE level.

Lattice parameters (Å, degrees): 8.987 8.987 8.987 90.00 90.00 90.00
Fractional positions:
Lu  0.000  0.250  0.500
Lu  0.000  0.750  0.500
Lu  0.500  0.000  0.750
Lu  0.500  0.000  0.250
Lu  0.750  0.500  0.000
Lu  0.250  0.500  0.000
Ge  0.500  0.355  0.190
Ge  0.500  0.645  0.810
Ge  0.355  0.190  0.500
Ge  0.645  0.190  0.500
Ge  0.190  0.500  0.355
Ge  0.810  0.500  0.355
Ge  0.000  0.690  0.145
Ge  0.000  0.310  0.855
Ge  0.000  0.690  0.855
Ge  0.310  0.855  0.000
Ge  0.855  0.000  0.690
Ge  0.855  0.000  0.310
Ge  0.690  0.145  0.000
Ge  0.145  0.000  0.690
Ge  0.000  0.000  0.000
Ge  0.500  0.500  0.500
Ge  0.000  0.310  0.145
Ge  0.500  0.355  0.810
Ge  0.500  0.645  0.190
Ge  0.645  0.810  0.500
Ge  0.355  0.810  0.500
Ge  0.190  0.500  0.645
Ge  0.810  0.500  0.645
Ge  0.145  0.000  0.310
Ge  0.310  0.145  0.000
Ge  0.690  0.855  0.000
Rh  0.750  0.250  0.250
Rh  0.250  0.250  0.750
Rh  0.250  0.750  0.250
Rh  0.750  0.750  0.750
Rh  0.250  0.750  0.750
Rh  0.750  0.750  0.250
Rh  0.750  0.250  0.750
Rh  0.250  0.250  0.250

Properties
- ΔE_f: -0.5061 eV per atom

=====

No. 3
Below is an optimized crystal structure of NbAlFe4, with properties calculated at the GGA-PBE level.

Lattice parameters (Å, degrees): 4.799 4.799 7.729 90.00 90.00 120.00
Fractional positions:
Nb  0.667  0.333  0.922
Nb  0.333  0.667  0.078
Al  0.333  0.667  0.444
Al  0.667  0.333  0.556
Fe  0.000  0.000  0.500
Fe  0.000  0.000  0.000
Fe  0.831  0.169  0.252
Fe  0.831  0.662  0.252
Fe  0.338  0.169  0.252
Fe  0.169  0.831  0.748
Fe  0.169  0.338  0.748
Fe  0.662  0.831  0.748

Properties
- ΔE_f: -0.1686 eV per atom